# 1
A relaxed structure of MgFe2Ag2O4, computed with GGA+U.

Cell lengths 3.117, 3.117, 14.701 Å; angles 94.89, 94.89, 60.04 degrees
Fractional coordinates of all 9 atoms:
Mg (0.000, 0.000, 0.000)
Fe (0.143, 0.143, 0.388)
Fe (0.280, 0.280, 0.808)
Ag (0.450, 0.450, 0.166)
Ag (0.878, 0.878, 0.603)
O (0.316, 0.316, 0.942)
O (0.459, 0.459, 0.321)
O (0.830, 0.830, 0.460)
O (0.931, 0.931, 0.753)

Calculated values
Formation enthalpy at 0 K: -29.5 kcal/mol of atoms
Energy above the lowest structure with this stoichiometry: 16.1 meV/atom
Theoretical density: 5.6 Mg/m³
Space-group type: No. 8
Electronic total energy: -48.2 eV for the cell shown
Magnetization: 9.3 μB per formula unit


# 2
A relaxed structure of Sr3MnRuO7, computed with GGA+U.

Cell lengths 10.607, 10.607, 10.607 Å; angles 158.53, 158.53, 30.55 degrees
Fractional coordinates of all 12 atoms:
Sr (0.000, 0.000, 0.000)
Sr (0.174, 0.174, 0.000)
Sr (0.367, 0.367, 0.000)
Mn (0.581, 0.581, 0.000)
Ru (0.778, 0.778, 0.000)
O (0.085, 0.585, 0.500)
O (0.279, 0.779, 0.500)
O (0.487, 0.487, 0.000)
O (0.585, 0.085, 0.500)
O (0.681, 0.681, 0.000)
O (0.779, 0.279, 0.500)
O (0.876, 0.876, 0.000)

Calculated values
Formation enthalpy at 0 K: -57.5 kcal/mol of atoms
Theoretical density: 5.5 Mg/m³
Space-group type: No. 107
Electronic total energy: -81.6 eV for the cell shown
Magnetization: 5.8 μB per formula unit


# 3
A relaxed structure of KMgV5O22, computed with GGA+U.

Cell lengths 10.563, 10.688, 10.893 Å; angles 72.86, 64.59, 66.48 degrees
Fractional coordinates of all 58 atoms:
K (0.206, 0.219, 0.077)
K (0.794, 0.781, 0.923)
Mg (0.035, 0.802, 0.309)
Mg (0.965, 0.198, 0.691)
V (0.182, 0.913, 0.728)
V (0.222, 0.190, 0.752)
V (0.243, 0.154, 0.459)
V (0.459, 0.898, 0.779)
V (0.479, 0.858, 0.489)
V (0.521, 0.142, 0.511)
V (0.541, 0.102, 0.221)
V (0.757, 0.846, 0.541)
V (0.778, 0.810, 0.248)
V (0.818, 0.087, 0.272)
O (0.050, 0.843, 0.801)
O (0.090, 0.514, 0.247)
O (0.097, 0.079, 0.808)
O (0.125, 0.041, 0.576)
O (0.126, 0.309, 0.852)
O (0.147, 0.265, 0.597)
O (0.158, 0.235, 0.349)
O (0.173, 0.494, 0.129)
O (0.181, 0.877, 0.347)
O (0.212, 0.868, 0.135)
O (0.236, 0.617, 0.335)
O (0.251, 0.908, 0.215)
O (0.308, 0.831, 0.826)
O (0.331, 0.797, 0.585)
O (0.338, 0.062, 0.849)
O (0.356, 0.579, 0.223)
O (0.371, 0.022, 0.600)
O (0.390, 0.253, 0.629)
O (0.397, 0.998, 0.359)
O (0.421, 0.212, 0.379)
O (0.457, 0.190, 0.112)
O (0.472, 0.497, 0.245)
O (0.528, 0.503, 0.755)
O (0.543, 0.810, 0.888)
O (0.579, 0.788, 0.621)
O (0.603, 0.002, 0.641)
O (0.610, 0.747, 0.371)
O (0.629, 0.978, 0.400)
O (0.644, 0.421, 0.777)
O (0.662, 0.938, 0.151)
O (0.669, 0.203, 0.415)
O (0.692, 0.169, 0.174)
O (0.749, 0.092, 0.785)
O (0.764, 0.383, 0.665)
O (0.788, 0.132, 0.865)
O (0.819, 0.123, 0.653)
O (0.827, 0.506, 0.871)
O (0.842, 0.765, 0.651)
O (0.853, 0.735, 0.403)
O (0.874, 0.691, 0.148)
O (0.875, 0.959, 0.424)
O (0.903, 0.921, 0.192)
O (0.910, 0.486, 0.753)
O (0.950, 0.157, 0.199)

Calculated values
Formation enthalpy at 0 K: -29.2 kcal/mol of atoms
Theoretical density: 2.2 Mg/m³
Space-group type: No. 2
Electronic total energy: -370.4 eV for the cell shown
Magnetization: 2.0 μB per formula unit


# 4
A relaxed structure of Sr5Ca3FeCo7O24, computed with GGA+U.

Cell lengths 7.731, 7.731, 7.648 Å; angles 90.02, 90.02, 89.94 degrees
Fractional coordinates of all 40 atoms:
Sr (0.000, 0.000, 0.000)
Sr (0.000, 0.000, 0.495)
Sr (0.001, 0.495, 0.495)
Sr (0.495, 0.001, 0.495)
Sr (0.495, 0.495, 0.495)
Ca (0.005, 0.492, 0.006)
Ca (0.492, 0.005, 0.006)
Ca (0.493, 0.493, 0.005)
Fe (0.248, 0.248, 0.750)
Co (0.248, 0.248, 0.247)
Co (0.248, 0.747, 0.246)
Co (0.249, 0.747, 0.752)
Co (0.747, 0.248, 0.246)
Co (0.747, 0.249, 0.752)
Co (0.747, 0.747, 0.244)
Co (0.747, 0.747, 0.750)
O (0.004, 0.254, 0.241)
O (0.013, 0.746, 0.751)
O (0.248, 0.248, 0.494)
O (0.248, 0.493, 0.240)
O (0.248, 0.748, 0.482)
O (0.249, 0.499, 0.756)
O (0.249, 0.745, 0.012)
O (0.251, 0.251, 0.002)
O (0.251, 0.997, 0.754)
O (0.254, 0.004, 0.241)
O (0.483, 0.746, 0.752)
O (0.493, 0.248, 0.240)
O (0.499, 0.249, 0.756)
O (0.505, 0.745, 0.239)
O (0.745, 0.249, 0.012)
O (0.745, 0.505, 0.239)
O (0.745, 0.990, 0.243)
O (0.746, 0.013, 0.751)
O (0.746, 0.483, 0.752)
O (0.746, 0.746, 0.981)
O (0.747, 0.747, 0.514)
O (0.748, 0.248, 0.482)
O (0.990, 0.745, 0.243)
O (0.997, 0.251, 0.754)

Calculated values
Formation enthalpy at 0 K: -46.0 kcal/mol of atoms
Theoretical density: 5.1 Mg/m³
Space-group type: No. 8
Electronic total energy: -241.0 eV for the cell shown
Magnetization: 25.5 μB per formula unit